1.
{
  "formula": "Th2Si3Ni",
  "functional": "r²SCAN",
  "state": "optimized geometry",
  "spacegroup": "No. 187",
  "total_magnetization_mub_per_atom": 0.000,
  "lattice": [[4.1008, 0.0000, 0.0000], [-2.0504, 3.5514, 0.0000], [0.0000, 0.0000, 8.1694]],
  "species": ["Th", "Th", "Si", "Si", "Si", "Ni"],
  "fractional_positions": [[0.0000, 0.0000, 0.2430], [0.0000, 0.0000, 0.7570], [0.3333, 0.6667, 0.5000], [0.6667, 0.3333, 0.0000], [0.6667, 0.3333, 0.5000], [0.3333, 0.6667, 0.0000]]
}

2.
{
  "formula": "Ti6Si7Ni16",
  "functional": "r²SCAN",
  "state": "optimized geometry",
  "spacegroup": "No. 225",
  "total_magnetization_mub_per_atom": 0.000,
  "lattice": [[0.0000, 5.5446, 5.5446], [5.5446, 0.0000, 5.5446], [5.5446, 5.5446, 0.0000]],
  "species": ["Ti", "Ti", "Ti", "Ti", "Ti", "Ti", "Si", "Si", "Si", "Si", "Si", "Si", "Si", "Ni", "Ni", "Ni", "Ni", "Ni", "Ni", "Ni", "Ni", "Ni", "Ni", "Ni", "Ni", "Ni", "Ni", "Ni", "Ni"],
  "fractional_positions": [[0.2020, 0.2020, 0.7980], [0.2020, 0.7980, 0.2020], [0.2020, 0.7980, 0.7980], [0.7980, 0.2020, 0.2020], [0.7980, 0.2020, 0.7980], [0.7980, 0.7980, 0.2020], [0.0000, 0.0000, 0.5000], [0.0000, 0.5000, 0.0000], [0.0000, 0.5000, 0.5000], [0.5000, 0.0000, 0.0000], [0.5000, 0.0000, 0.5000], [0.5000, 0.5000, 0.0000], [0.5000, 0.5000, 0.5000], [0.1464, 0.6179, 0.6179], [0.1662, 0.1662, 0.1662], [0.1662, 0.1662, 0.5014], [0.1662, 0.5014, 0.1662], [0.3821, 0.3821, 0.3821], [0.3821, 0.3821, 0.8536], [0.3821, 0.8536, 0.3821], [0.4986, 0.8338, 0.8338], [0.5014, 0.1662, 0.1662], [0.6179, 0.1464, 0.6179], [0.6179, 0.6179, 0.1464], [0.6179, 0.6179, 0.6179], [0.8338, 0.4986, 0.8338], [0.8338, 0.8338, 0.4986], [0.8338, 0.8338, 0.8338], [0.8536, 0.3821, 0.3821]]
}

3.
{
  "formula": "TiSiNi",
  "functional": "r²SCAN",
  "state": "optimized geometry",
  "spacegroup": "No. 62",
  "total_magnetization_mub_per_atom": 0.000,
  "lattice": [[6.1295, 0.0000, 0.0000], [0.0000, 3.6433, 0.0000], [0.0000, 0.0000, 6.9680]],
  "species": ["Ti", "Ti", "Ti", "Ti", "Si", "Si", "Si", "Si", "Ni", "Ni", "Ni", "Ni"],
  "fractional_positions": [[0.0220, 0.2500, 0.1811], [0.4780, 0.7500, 0.6811], [0.5220, 0.2500, 0.3189], [0.9780, 0.7500, 0.8189], [0.2334, 0.7500, 0.3783], [0.2666, 0.2500, 0.8783], [0.7334, 0.7500, 0.1217], [0.7666, 0.2500, 0.6217], [0.1400, 0.2500, 0.5600], [0.3600, 0.7500, 0.0600], [0.6400, 0.2500, 0.9400], [0.8600, 0.7500, 0.4400]]
}

4.
{
  "formula": "TmSi2Ni",
  "functional": "r²SCAN",
  "state": "optimized geometry",
  "spacegroup": "No. 63",
  "total_magnetization_mub_per_atom": 0.000,
  "lattice": [[1.9606, -8.1888, 0.0000], [1.9606, 8.1888, 0.0000], [0.0000, 0.0000, 3.8968]],
  "species": ["Tm", "Tm", "Si", "Si", "Si", "Si", "Ni", "Ni"],
  "fractional_positions": [[0.1057, 0.8943, 0.7500], [0.8943, 0.1057, 0.2500], [0.2500, 0.7500, 0.2500], [0.4598, 0.5402, 0.7500], [0.5402, 0.4598, 0.2500], [0.7500, 0.2500, 0.7500], [0.3237, 0.6763, 0.7500], [0.6763, 0.3237, 0.2500]]
}

5.
{
  "formula": "TmSi2Ni2",
  "functional": "r²SCAN",
  "state": "optimized geometry",
  "spacegroup": "No. 139",
  "total_magnetization_mub_per_atom": 0.000,
  "lattice": [[-1.9512, 1.9512, 4.7298], [1.9512, -1.9512, 4.7298], [1.9512, 1.9512, -4.7298]],
  "species": ["Tm", "Si", "Si", "Ni", "Ni"],
  "fractional_positions": [[0.0000, 0.0000, 0.0000], [0.3742, 0.3742, 0.0000], [0.6258, 0.6258, 0.0000], [0.2500, 0.7500, 0.5000], [0.7500, 0.2500, 0.5000]]
}

6.
{
  "formula": "Tm3Si3Ni",
  "functional": "r²SCAN",
  "state": "optimized geometry",
  "spacegroup": "No. 12",
  "total_magnetization_mub_per_atom": 0.000,
  "lattice": [[5.0816, -2.0640, 0.0000], [5.0816, 2.0640, 0.0000], [-4.6827, 0.0000, 12.4869]],
  "species": ["Tm", "Tm", "Tm", "Tm", "Tm", "Tm", "Si", "Si", "Si", "Si", "Si", "Si", "Ni", "Ni"],
  "fractional_positions": [[0.0305, 0.0305, 0.3806], [0.1014, 0.1014, 0.9214], [0.2469, 0.2469, 0.2279], [0.7531, 0.7531, 0.7721], [0.8986, 0.8986, 0.0786], [0.9695, 0.9695, 0.6194], [0.3626, 0.3626, 0.4570], [0.3845, 0.3845, 0.9235], [0.4543, 0.4543, 0.7636], [0.5457, 0.5457, 0.2364], [0.6155, 0.6155, 0.0765], [0.6374, 0.6374, 0.5430], [0.2527, 0.2527, 0.5979], [0.7473, 0.7473, 0.4021]]
}

7.
{
  "formula": "TmSi3Ni5",
  "functional": "r²SCAN",
  "state": "optimized geometry",
  "spacegroup": "No. 62",
  "total_magnetization_mub_per_atom": 0.000,
  "lattice": [[18.4693, 0.0000, 0.0000], [0.0000, 3.7376, 0.0000], [0.0000, 0.0000, 6.5707]],
  "species": ["Tm", "Tm", "Tm", "Tm", "Si", "Si", "Si", "Si", "Si", "Si", "Si", "Si", "Si", "Si", "Si", "Si", "Ni", "Ni", "Ni", "Ni", "Ni", "Ni", "Ni", "Ni", "Ni", "Ni", "Ni", "Ni", "Ni", "Ni", "Ni", "Ni", "Ni", "Ni", "Ni", "Ni"],
  "fractional_positions": [[0.1441, 0.2500, 0.1229], [0.3559, 0.7500, 0.6229], [0.6441, 0.2500, 0.3771], [0.8559, 0.7500, 0.8771], [0.0747, 0.7500, 0.8456], [0.0858, 0.7500, 0.4168], [0.2378, 0.2500, 0.6231], [0.2622, 0.7500, 0.1231], [0.4142, 0.2500, 0.9168], [0.4253, 0.2500, 0.3456], [0.5747, 0.7500, 0.6544], [0.5858, 0.7500, 0.0832], [0.7378, 0.2500, 0.8769], [0.7622, 0.7500, 0.3769], [0.9142, 0.2500, 0.5832], [0.9253, 0.2500, 0.1544], [0.0057, 0.7500, 0.1332], [0.0148, 0.2500, 0.3834], [0.1149, 0.2500, 0.6440], [0.1996, 0.7500, 0.8167], [0.2062, 0.7500, 0.4314], [0.2938, 0.2500, 0.9314], [0.3004, 0.2500, 0.3167], [0.3851, 0.7500, 0.1440], [0.4852, 0.7500, 0.8834], [0.4943, 0.2500, 0.6332], [0.5057, 0.7500, 0.3668], [0.5148, 0.2500, 0.1166], [0.6149, 0.2500, 0.8560], [0.6996, 0.7500, 0.6833], [0.7062, 0.7500, 0.0686], [0.7938, 0.2500, 0.5686], [0.8004, 0.2500, 0.1833], [0.8851, 0.7500, 0.3560], [0.9852, 0.7500, 0.6166], [0.9943, 0.2500, 0.8668]]
}

8.
{
  "formula": "TmSi2Ni10",
  "functional": "r²SCAN",
  "state": "optimized geometry",
  "spacegroup": "No. 129",
  "total_magnetization_mub_per_atom": 0.000,
  "lattice": [[8.0607, 0.0000, 0.0000], [0.0000, 8.0607, 0.0000], [0.0000, 0.0000, 4.6223]],
  "species": ["Tm", "Tm", "Si", "Si", "Si", "Si", "Ni", "Ni", "Ni", "Ni", "Ni", "Ni", "Ni", "Ni", "Ni", "Ni", "Ni", "Ni", "Ni", "Ni", "Ni", "Ni", "Ni", "Ni", "Ni", "Ni"],
  "fractional_positions": [[0.2500, 0.2500, 0.2212], [0.7500, 0.7500, 0.7788], [0.0000, 0.0000, 0.5000], [0.0000, 0.5000, 0.5000], [0.5000, 0.0000, 0.5000], [0.5000, 0.5000, 0.5000], [0.0000, 0.0000, 0.0000], [0.0000, 0.5000, 0.0000], [0.0271, 0.2500, 0.7297], [0.1027, 0.7500, 0.7609], [0.2500, 0.0271, 0.7297], [0.2500, 0.4729, 0.7297], [0.2500, 0.6027, 0.2391], [0.2500, 0.8973, 0.2391], [0.3973, 0.7500, 0.7609], [0.4729, 0.2500, 0.7297], [0.5000, 0.0000, 0.0000], [0.5000, 0.5000, 0.0000], [0.5271, 0.7500, 0.2703], [0.6027, 0.2500, 0.2391], [0.7500, 0.1027, 0.7609], [0.7500, 0.3973, 0.7609], [0.7500, 0.5271, 0.2703], [0.7500, 0.9729, 0.2703], [0.8973, 0.2500, 0.2391], [0.9729, 0.7500, 0.2703]]
}

9.
{
  "formula": "USi2Ni2",
  "functional": "r²SCAN",
  "state": "optimized geometry",
  "spacegroup": "No. 139",
  "total_magnetization_mub_per_atom": 0.384,
  "lattice": [[-2.0013, 2.0013, 4.6427], [2.0013, -2.0013, 4.6427], [2.0013, 2.0013, -4.6427]],
  "species": ["U", "Si", "Si", "Ni", "Ni"],
  "fractional_positions": [[0.0000, 0.0000, 0.0000], [0.3726, 0.3726, 0.0000], [0.6274, 0.6274, 0.0000], [0.2500, 0.7500, 0.5000], [0.7500, 0.2500, 0.5000]]
}

10.
{
  "formula": "U2Si6Ni3",
  "functional": "r²SCAN",
  "state": "optimized geometry",
  "spacegroup": "No. 65",
  "total_magnetization_mub_per_atom": 0.429,
  "lattice": [[1.9936, -10.5867, 0.0000], [1.9936, 10.5867, 0.0000], [0.0000, 0.0000, 3.9807]],
  "species": ["U", "U", "Si", "Si", "Si", "Si", "Si", "Si", "Ni", "Ni", "Ni"],
  "fractional_positions": [[0.1690, 0.8310, 0.0000], [0.8310, 0.1690, 0.0000], [0.0593, 0.9407, 0.5000], [0.2797, 0.7203, 0.5000], [0.4404, 0.5596, 0.0000], [0.5596, 0.4404, 0.0000], [0.7203, 0.2797, 0.5000], [0.9407, 0.0593, 0.5000], [0.0000, 0.0000, 0.0000], [0.3865, 0.6135, 0.5000], [0.6135, 0.3865, 0.5000]]
}

11.
{
  "formula": "USiNi",
  "functional": "r²SCAN",
  "state": "optimized geometry",
  "spacegroup": "No. 62",
  "total_magnetization_mub_per_atom": 0.538,
  "lattice": [[7.2672, 0.0000, 0.0000], [0.0000, 3.8253, 0.0000], [0.0000, 0.0000, 6.7246]],
  "species": ["U", "U", "U", "U", "Si", "Si", "Si", "Si", "Ni", "Ni", "Ni", "Ni"],
  "fractional_positions": [[0.0049, 0.2500, 0.1359], [0.4951, 0.7500, 0.6359], [0.5049, 0.2500, 0.3641], [0.9951, 0.7500, 0.8641], [0.1903, 0.2500, 0.6244], [0.3097, 0.7500, 0.1244], [0.6903, 0.2500, 0.8756], [0.8097, 0.7500, 0.3756], [0.1324, 0.7500, 0.4368], [0.3676, 0.2500, 0.9368], [0.6324, 0.7500, 0.0632], [0.8676, 0.2500, 0.5632]]
}

12.
{
  "formula": "YSi2Ni2",
  "functional": "r²SCAN",
  "state": "optimized geometry",
  "spacegroup": "No. 139",
  "total_magnetization_mub_per_atom": 0.000,
  "lattice": [[-1.9726, 1.9726, 4.7492], [1.9726, -1.9726, 4.7492], [1.9726, 1.9726, -4.7492]],
  "species": ["Y", "Si", "Si", "Ni", "Ni"],
  "fractional_positions": [[0.0000, 0.0000, 0.0000], [0.3722, 0.3722, 0.0000], [0.6278, 0.6278, 0.0000], [0.2500, 0.7500, 0.5000], [0.7500, 0.2500, 0.5000]]
}

13.
{
  "formula": "YSi3Ni",
  "functional": "r²SCAN",
  "state": "optimized geometry",
  "spacegroup": "No. 65",
  "total_magnetization_mub_per_atom": 0.000,
  "lattice": [[1.9581, -10.4692, 0.0000], [1.9581, 10.4692, 0.0000], [0.0000, 0.0000, 3.9601]],
  "species": ["Y", "Y", "Si", "Si", "Si", "Si", "Si", "Si", "Ni", "Ni"],
  "fractional_positions": [[0.1688, 0.8312, 0.0000], [0.8312, 0.1688, 0.0000], [0.0562, 0.9438, 0.5000], [0.2825, 0.7175, 0.5000], [0.4438, 0.5562, 0.0000], [0.5562, 0.4438, 0.0000], [0.7175, 0.2825, 0.5000], [0.9438, 0.0562, 0.5000], [0.3902, 0.6098, 0.5000], [0.6098, 0.3902, 0.5000]]
}

14.
{
  "formula": "YSiNi",
  "functional": "r²SCAN",
  "state": "optimized geometry",
  "spacegroup": "No. 62",
  "total_magnetization_mub_per_atom": 0.000,
  "lattice": [[6.8644, 0.0000, 0.0000], [0.0000, 4.1429, 0.0000], [0.0000, 0.0000, 7.1594]],
  "species": ["Y", "Y", "Y", "Y", "Si", "Si", "Si", "Si", "Ni", "Ni", "Ni", "Ni"],
  "fractional_positions": [[0.0086, 0.2500, 0.2023], [0.4914, 0.7500, 0.7023], [0.5086, 0.2500, 0.2977], [0.9914, 0.7500, 0.7977], [0.1923, 0.2500, 0.5882], [0.3077, 0.7500, 0.0882], [0.6923, 0.2500, 0.9118], [0.8077, 0.7500, 0.4118], [0.1840, 0.7500, 0.4200], [0.3160, 0.2500, 0.9200], [0.6840, 0.7500, 0.0800], [0.8160, 0.2500, 0.5800]]
}

15.
{
  "formula": "YSi2Ni",
  "functional": "r²SCAN",
  "state": "optimized geometry",
  "spacegroup": "No. 63",
  "total_magnetization_mub_per_atom": 0.000,
  "lattice": [[1.9991, -8.1846, 0.0000], [1.9991, 8.1846, 0.0000], [0.0000, 0.0000, 3.9419]],
  "species": ["Y", "Y", "Si", "Si", "Si", "Si", "Ni", "Ni"],
  "fractional_positions": [[0.1060, 0.8940, 0.7500], [0.8940, 0.1060, 0.2500], [0.2499, 0.7501, 0.2500], [0.4594, 0.5406, 0.7500], [0.5406, 0.4594, 0.2500], [0.7501, 0.2499, 0.7500], [0.3219, 0.6781, 0.7500], [0.6781, 0.3219, 0.2500]]
}

16.
{
  "formula": "YbSi3Ni5",
  "functional": "r²SCAN",
  "state": "optimized geometry",
  "spacegroup": "No. 62",
  "total_magnetization_mub_per_atom": 0.000,
  "lattice": [[18.4428, 0.0000, 0.0000], [0.0000, 3.7303, 0.0000], [0.0000, 0.0000, 6.5685]],
  "species": ["Yb", "Yb", "Yb", "Yb", "Si", "Si", "Si", "Si", "Si", "Si", "Si", "Si", "Si", "Si", "Si", "Si", "Ni", "Ni", "Ni", "Ni", "Ni", "Ni", "Ni", "Ni", "Ni", "Ni", "Ni", "Ni", "Ni", "Ni", "Ni", "Ni", "Ni", "Ni", "Ni", "Ni"],
  "fractional_positions": [[0.1440, 0.2500, 0.1226], [0.3560, 0.7500, 0.6226], [0.6440, 0.2500, 0.3774], [0.8560, 0.7500, 0.8774], [0.0748, 0.7500, 0.8457], [0.0860, 0.7500, 0.4165], [0.2381, 0.2500, 0.6229], [0.2619, 0.7500, 0.1229], [0.4140, 0.2500, 0.9165], [0.4252, 0.2500, 0.3457], [0.5748, 0.7500, 0.6543], [0.5860, 0.7500, 0.0835], [0.7381, 0.2500, 0.8771], [0.7619, 0.7500, 0.3771], [0.9140, 0.2500, 0.5835], [0.9252, 0.2500, 0.1543], [0.0057, 0.7500, 0.1330], [0.0150, 0.2500, 0.3833], [0.1152, 0.2500, 0.6442], [0.1995, 0.7500, 0.8167], [0.2064, 0.7500, 0.4312], [0.2936, 0.2500, 0.9312], [0.3005, 0.2500, 0.3167], [0.3848, 0.7500, 0.1442], [0.4850, 0.7500, 0.8833], [0.4943, 0.2500, 0.6330], [0.5057, 0.7500, 0.3670], [0.5150, 0.2500, 0.1167], [0.6152, 0.2500, 0.8558], [0.6995, 0.7500, 0.6833], [0.7064, 0.7500, 0.0688], [0.7936, 0.2500, 0.5688], [0.8005, 0.2500, 0.1833], [0.8848, 0.7500, 0.3558], [0.9850, 0.7500, 0.6167], [0.9943, 0.2500, 0.8670]]
}

17.
{
  "formula": "Zr2Si4Ni3",
  "functional": "r²SCAN",
  "state": "optimized geometry",
  "spacegroup": "No. 64",
  "total_magnetization_mub_per_atom": 0.000,
  "lattice": [[2.5886, -6.8463, 0.0000], [2.5886, 6.8463, 0.0000], [0.0000, 0.0000, 6.8636]],
  "species": ["Zr", "Zr", "Zr", "Zr", "Si", "Si", "Si", "Si", "Si", "Si", "Si", "Si", "Ni", "Ni", "Ni", "Ni", "Ni", "Ni"],
  "fractional_positions": [[0.1047, 0.8953, 0.9021], [0.3953, 0.6047, 0.4021], [0.6047, 0.3953, 0.5979], [0.8953, 0.1047, 0.0979], [0.1826, 0.8174, 0.5219], [0.1884, 0.3116, 0.7500], [0.3116, 0.1884, 0.2500], [0.3174, 0.6826, 0.0219], [0.6826, 0.3174, 0.9781], [0.6884, 0.8116, 0.7500], [0.8116, 0.6884, 0.2500], [0.8174, 0.1826, 0.4781], [0.0000, 0.0000, 0.5000], [0.0224, 0.4776, 0.7500], [0.4776, 0.0224, 0.2500], [0.5000, 0.5000, 0.0000], [0.5224, 0.9776, 0.7500], [0.9776, 0.5224, 0.2500]]
}

18.
{
  "formula": "SmNi",
  "functional": "r²SCAN",
  "state": "optimized geometry",
  "spacegroup": "No. 63",
  "total_magnetization_mub_per_atom": 0.000,
  "lattice": [[1.8922, -5.1142, 0.0000], [1.8922, 5.1142, 0.0000], [0.0000, 0.0000, 4.2945]],
  "species": ["Sm", "Sm", "Ni", "Ni"],
  "fractional_positions": [[0.1387, 0.8613, 0.7500], [0.8613, 0.1387, 0.2500], [0.4297, 0.5703, 0.7500], [0.5703, 0.4297, 0.2500]]
}

19.
{
  "formula": "SmZnNi",
  "functional": "r²SCAN",
  "state": "optimized geometry",
  "spacegroup": "No. 189",
  "total_magnetization_mub_per_atom": 0.000,
  "lattice": [[7.0643, 0.0000, 0.0000], [-3.5321, 6.1179, 0.0000], [0.0000, 0.0000, 3.7994]],
  "species": ["Sm", "Sm", "Sm", "Zn", "Zn", "Zn", "Ni", "Ni", "Ni"],
  "fractional_positions": [[0.0000, 0.5886, 0.0000], [0.4114, 0.4114, 0.0000], [0.5886, 0.0000, 0.0000], [0.0000, 0.2353, 0.5000], [0.2353, 0.0000, 0.5000], [0.7647, 0.7647, 0.5000], [0.0000, 0.0000, 0.0000], [0.3333, 0.6667, 0.5000], [0.6667, 0.3333, 0.5000]]
}

Number 1: ΔH_f (0 K) -4.9 eV per formula unit. Number 2: ΔH_f (0 K) -20.8 eV per formula unit. Number 3: ΔH_f (0 K) -2.6 eV per formula unit. Number 4: ΔH_f (0 K) -3.4 eV per formula unit. Number 5: ΔH_f (0 K) -4.4 eV per formula unit. Number 6: ΔH_f (0 K) -6.2 eV per formula unit. Number 7: ΔH_f (0 K) -6.5 eV per formula unit. Number 8: ΔH_f (0 K) -5.5 eV per formula unit. Number 9: ΔH_f (0 K) -3.4 eV per formula unit. Number 10: ΔH_f (0 K) -6.4 eV per formula unit. Number 11: ΔH_f (0 K) -1.6 eV per formula unit. Number 12: ΔH_f (0 K) -4.3 eV per formula unit. Number 13: ΔH_f (0 K) -3.5 eV per formula unit. Number 14: ΔH_f (0 K) -2.5 eV per formula unit. Number 15: ΔH_f (0 K) -3.5 eV per formula unit. Number 16: ΔH_f (0 K) -6.5 eV per formula unit. Number 17: ΔH_f (0 K) -7.2 eV per formula unit. Number 18: ΔH_f (0 K) -0.6 eV per formula unit. Number 19: ΔH_f (0 K) -1.2 eV per formula unit.